Record 1
# Na2Co3H10S3O18 (GGA+U, optimized geometry)
# Crystal system: orthorhombic
# Energy: -5.57 eV per atom
data_Na2Co3H10S3O18
_chemical_formula_sum 'Na4 Co6 H20 S6 O36'
_cell_length_a 10.6812
_cell_length_b 10.6812
_cell_length_c 10.0900
_cell_angle_alpha 90.00
_cell_angle_beta 90.00
_cell_angle_gamma 40.53
_symmetry_space_group_name_H-M 'P 1'
_symmetry_Int_Tables_number 1
loop_
_symmetry_equiv_pos_as_xyz
'x,y,z'
loop_
_atom_site_label
_atom_site_fract_x
_atom_site_fract_y
_atom_site_fract_z
Na1 0.0781 0.5873 0.5000
Na2 0.4127 0.9219 0.5000
Na3 0.5873 0.0781 0.0000
Na4 0.9219 0.4127 0.0000
Co1 0.0291 0.1289 0.7064
Co2 0.1289 0.0291 0.2064
Co3 0.2856 0.7144 0.9175
Co4 0.7144 0.2856 0.4175
Co5 0.8711 0.9709 0.7064
Co6 0.9709 0.8711 0.2064
H1 0.0468 0.9532 0.4172
H2 0.1781 0.3983 0.7676
H3 0.2341 0.4754 0.2369
H4 0.2351 0.2731 0.6475
H5 0.2731 0.2351 0.1475
H6 0.3051 0.6949 0.1563
H7 0.3162 0.5294 0.3129
H8 0.3983 0.1781 0.2676
H9 0.4706 0.6838 0.3129
H10 0.4754 0.2341 0.7369
H11 0.5246 0.7659 0.2369
H12 0.5294 0.3162 0.8129
H13 0.6017 0.8219 0.7676
H14 0.6838 0.4706 0.8129
H15 0.6949 0.3051 0.6563
H16 0.7269 0.7649 0.6475
H17 0.7649 0.7269 0.1475
H18 0.7659 0.5246 0.7369
H19 0.8219 0.6017 0.2676
H20 0.9532 0.0468 0.9172
S1 0.0254 0.6566 0.9354
S2 0.3122 0.6878 0.5993
S3 0.3434 0.9746 0.9354
S4 0.6566 0.0254 0.4354
S5 0.6878 0.3122 0.0993
S6 0.9746 0.3434 0.4354
O1 0.0276 0.9724 0.8374
O2 0.0620 0.4926 0.9227
O3 0.0751 0.2417 0.5648
O4 0.1057 0.2030 0.3262
O5 0.1332 0.7455 0.5965
O6 0.1852 0.8148 0.1152
O7 0.1949 0.5798 0.2903
O8 0.2030 0.1057 0.8262
O9 0.2128 0.5815 0.9284
O10 0.2417 0.0751 0.0648
O11 0.2444 0.3523 0.6802
O12 0.2545 0.8668 0.5965
O13 0.3523 0.2444 0.1802
O14 0.4185 0.7872 0.9284
O15 0.4202 0.8051 0.2903
O16 0.4250 0.5750 0.7228
O17 0.4282 0.5718 0.4800
O18 0.4926 0.0620 0.4227
O19 0.5074 0.9380 0.9227
O20 0.5718 0.4282 0.9800
O21 0.5750 0.4250 0.2228
O22 0.5798 0.1949 0.7903
O23 0.5815 0.2128 0.4284
O24 0.6477 0.7556 0.6802
O25 0.7455 0.1332 0.0965
O26 0.7556 0.6477 0.1802
O27 0.7583 0.9249 0.5648
O28 0.7872 0.4185 0.4284
O29 0.7970 0.8943 0.3262
O30 0.8051 0.4202 0.7903
O31 0.8148 0.1852 0.6152
O32 0.8668 0.2545 0.0965
O33 0.8943 0.7970 0.8262
O34 0.9249 0.7583 0.0648
O35 0.9380 0.5074 0.4227
O36 0.9724 0.0276 0.3374


Record 2
# Na2CoH4Se2O10 (GGA+U, optimized geometry)
# Crystal system: triclinic
# Energy: -4.97 eV per atom
data_Na2CoH4Se2O10
_chemical_formula_sum 'Na2 Co1 H4 Se2 O10'
_cell_length_a 6.0872
_cell_length_b 6.8211
_cell_length_c 6.8337
_cell_angle_alpha 99.14
_cell_angle_beta 96.07
_cell_angle_gamma 106.74
_symmetry_space_group_name_H-M 'P 1'
_symmetry_Int_Tables_number 1
loop_
_symmetry_equiv_pos_as_xyz
'x,y,z'
loop_
_atom_site_label
_atom_site_fract_x
_atom_site_fract_y
_atom_site_fract_z
Na1 0.1029 0.1997 0.2574
Na2 0.8971 0.8003 0.7426
Co1 0.5000 0.0000 0.5000
H1 0.4028 0.1592 0.9737
H2 0.4170 0.6522 0.8819
H3 0.5830 0.3478 0.1181
H4 0.5972 0.8408 0.0263
Se1 0.0292 0.3257 0.7664
Se2 0.9708 0.6743 0.2336
O1 0.0902 0.7776 0.0481
O2 0.1812 0.1211 0.7068
O3 0.1866 0.7318 0.4323
O4 0.3231 0.1852 0.5513
O5 0.4426 0.2337 0.1143
O6 0.5574 0.7663 0.8857
O7 0.6769 0.8148 0.4487
O8 0.8134 0.2682 0.5677
O9 0.8188 0.8789 0.2932
O10 0.9098 0.2224 0.9519


Record 3
# Na4V10CoH44O52 (GGA+U, optimized geometry)
# Crystal system: triclinic
# Energy: -5.69 eV per atom
data_Na4V10CoH44O52
_chemical_formula_sum 'Na4 V10 Co1 H44 O52'
_cell_length_a 9.0026
_cell_length_b 11.4258
_cell_length_c 11.8523
_cell_angle_alpha 105.53
_cell_angle_beta 96.24
_cell_angle_gamma 100.54
_symmetry_space_group_name_H-M 'P 1'
_symmetry_Int_Tables_number 1
loop_
_symmetry_equiv_pos_as_xyz
'x,y,z'
loop_
_atom_site_label
_atom_site_fract_x
_atom_site_fract_y
_atom_site_fract_z
Na1 0.0000 0.0000 0.0000
Na2 0.0000 0.0000 0.5000
Na3 0.2125 0.0969 0.2956
Na4 0.7875 0.9031 0.7044
V1 0.3139 0.4488 0.9817
V2 0.3156 0.6601 0.2119
V3 0.3297 0.2436 0.7561
V4 0.4602 0.7361 0.0029
V5 0.4677 0.5261 0.7741
V6 0.5323 0.4739 0.2259
V7 0.5398 0.2639 0.9971
V8 0.6703 0.7564 0.2439
V9 0.6844 0.3399 0.7881
V10 0.6861 0.5512 0.0183
Co1 0.0000 0.5000 0.5000
H1 0.0115 0.1825 0.8626
H2 0.0260 0.7878 0.5875
H3 0.0402 0.6605 0.3673
H4 0.0407 0.4205 0.1275
H5 0.0799 0.2385 0.1484
H6 0.0900 0.6363 0.7175
H7 0.0916 0.8955 0.7063
H8 0.1377 0.3705 0.6259
H9 0.1379 0.6229 0.8878
H10 0.1564 0.8362 0.1145
H11 0.1828 0.8686 0.3511
H12 0.2394 0.6383 0.6549
H13 0.2442 0.5062 0.3755
H14 0.2446 0.2429 0.1188
H15 0.2446 0.4042 0.4426
H16 0.2515 0.8994 0.8922
H17 0.2586 0.0314 0.8765
H18 0.2952 0.9533 0.4641
H19 0.3872 0.3037 0.5290
H20 0.4489 0.3189 0.4128
H21 0.4605 0.9614 0.2208
H22 0.4917 0.0852 0.1847
H23 0.5083 0.9148 0.8153
H24 0.5395 0.0386 0.7792
H25 0.5511 0.6811 0.5872
H26 0.6128 0.6963 0.4710
H27 0.7048 0.0467 0.5359
H28 0.7414 0.9686 0.1235
H29 0.7485 0.1006 0.1078
H30 0.7554 0.5958 0.5574
H31 0.7554 0.7571 0.8812
H32 0.7558 0.4938 0.6245
H33 0.7606 0.3617 0.3451
H34 0.8172 0.1314 0.6489
H35 0.8436 0.1638 0.8855
H36 0.8621 0.3771 0.1122
H37 0.8623 0.6295 0.3741
H38 0.9084 0.1045 0.2937
H39 0.9100 0.3637 0.2825
H40 0.9201 0.7615 0.8516
H41 0.9593 0.5795 0.8725
H42 0.9598 0.3395 0.6327
H43 0.9740 0.2122 0.4125
H44 0.9885 0.8175 0.1374
O1 0.0170 0.8710 0.6318
O2 0.0335 0.3578 0.5800
O3 0.0409 0.6382 0.8533
O4 0.0745 0.8817 0.1332
O5 0.1295 0.6395 0.6422
O6 0.1601 0.1900 0.1415
O7 0.1756 0.6986 0.2834
O8 0.1857 0.9528 0.8714
O9 0.1936 0.4727 0.4340
O10 0.1956 0.5098 0.0776
O11 0.1983 0.1347 0.6604
O12 0.2004 0.3221 0.8724
O13 0.2074 0.9532 0.4067
O14 0.3100 0.7461 0.0970
O15 0.3228 0.3819 0.6967
O16 0.3266 0.5710 0.8960
O17 0.3552 0.2937 0.4446
O18 0.3704 0.5356 0.2771
O19 0.3852 0.1688 0.8762
O20 0.3914 0.3518 0.0809
O21 0.3932 0.8591 0.5551
O22 0.4300 0.8296 0.9221
O23 0.4377 0.6198 0.6933
O24 0.4416 0.0453 0.2394
O25 0.4888 0.7726 0.3000
O26 0.4975 0.5879 0.0972
O27 0.5025 0.4121 0.9028
O28 0.5112 0.2274 0.7000
O29 0.5584 0.9547 0.7606
O30 0.5623 0.3802 0.3067
O31 0.5700 0.1704 0.0779
O32 0.6068 0.1409 0.4449
O33 0.6086 0.6482 0.9191
O34 0.6148 0.8312 0.1238
O35 0.6296 0.4644 0.7229
O36 0.6448 0.7063 0.5554
O37 0.6734 0.4290 0.1040
O38 0.6772 0.6181 0.3033
O39 0.6900 0.2539 0.9030
O40 0.7926 0.0468 0.5933
O41 0.7996 0.6779 0.1276
O42 0.8017 0.8653 0.3396
O43 0.8044 0.4902 0.9224
O44 0.8064 0.5273 0.5660
O45 0.8143 0.0472 0.1286
O46 0.8244 0.3014 0.7166
O47 0.8399 0.8100 0.8585
O48 0.8705 0.3605 0.3578
O49 0.9255 0.1183 0.8668
O50 0.9591 0.3618 0.1467
O51 0.9665 0.6422 0.4200
O52 0.9830 0.1290 0.3682


Record 4
# CoNiP4H32O20 (GGA+U, optimized geometry)
# Crystal system: tetragonal
# Energy: -5.13 eV per atom
data_CoNiP4H32O20
_chemical_formula_sum 'Co2 Ni2 P8 H64 O40'
_cell_length_a 12.6201
_cell_length_b 12.6201
_cell_length_c 12.6201
_cell_angle_alpha 130.82
_cell_angle_beta 130.82
_cell_angle_gamma 72.09
_symmetry_space_group_name_H-M 'P 1'
_symmetry_Int_Tables_number 1
loop_
_symmetry_equiv_pos_as_xyz
'x,y,z'
loop_
_atom_site_label
_atom_site_fract_x
_atom_site_fract_y
_atom_site_fract_z
Co1 0.2500 0.2500 0.0000
Co2 0.7500 0.7500 0.0000
Ni1 0.0000 0.5000 0.5000
Ni2 0.5000 0.0000 0.5000
P1 0.1141 0.6251 0.9891
P2 0.1360 0.1251 0.5110
P3 0.3749 0.3640 0.4890
P4 0.3750 0.8640 0.9891
P5 0.6141 0.6250 0.4890
P6 0.6360 0.1250 0.0109
P7 0.8749 0.3859 0.0109
P8 0.8750 0.8859 0.5110
H1 0.0155 0.1629 0.5050
H2 0.0252 0.3370 0.8062
H3 0.0311 0.7269 0.8096
H4 0.0308 0.8370 0.3118
H5 0.0641 0.0630 0.8897
H6 0.0744 0.5735 0.3899
H7 0.0860 0.2784 0.3080
H8 0.0922 0.0871 0.3526
H9 0.1578 0.6629 0.1474
H10 0.1630 0.4748 0.1938
H11 0.1733 0.1744 0.1103
H12 0.1836 0.6846 0.6101
H13 0.2183 0.0205 0.6883
H14 0.2216 0.4140 0.6920
H15 0.2220 0.9140 0.1924
H16 0.2344 0.5871 0.9949
H17 0.2604 0.9078 0.9948
H18 0.2731 0.0826 0.3042
H19 0.2785 0.5826 0.8096
H20 0.2810 0.9692 0.8062
H21 0.3154 0.9256 0.4990
H22 0.3256 0.3267 0.8897
H23 0.3322 0.5300 0.3117
H24 0.3371 0.4845 0.4950
H25 0.4129 0.4078 0.6474
H26 0.4174 0.2269 0.6958
H27 0.4265 0.8164 0.5010
H28 0.4370 0.4359 0.1103
H29 0.4704 0.7784 0.1924
H30 0.4700 0.7817 0.8021
H31 0.4795 0.2817 0.3117
H32 0.4895 0.9845 0.1474
H33 0.5155 0.0105 0.8526
H34 0.5252 0.7190 0.6882
H35 0.5308 0.2190 0.1938
H36 0.5311 0.7215 0.3042
H37 0.5641 0.6744 0.0011
H38 0.5744 0.1846 0.5010
H39 0.5860 0.2780 0.8076
H40 0.5922 0.2396 0.0052
H41 0.6578 0.5105 0.4950
H42 0.6630 0.4692 0.6882
H43 0.6733 0.5630 0.9989
H44 0.6836 0.0735 0.4990
H45 0.7183 0.0300 0.1979
H46 0.7216 0.0296 0.8076
H47 0.7220 0.5296 0.3080
H48 0.7344 0.7396 0.6474
H49 0.7604 0.7656 0.3526
H50 0.7731 0.4689 0.1904
H51 0.7785 0.9689 0.6958
H52 0.7810 0.9748 0.3118
H53 0.8154 0.3164 0.3899
H54 0.8256 0.9359 0.9989
H55 0.8322 0.5205 0.8021
H56 0.8371 0.3422 0.8526
H57 0.9129 0.2656 0.0052
H58 0.9174 0.2215 0.1904
H59 0.9265 0.4256 0.6101
H60 0.9370 0.8267 0.0011
H61 0.9700 0.1678 0.6883
H62 0.9704 0.7780 0.6920
H63 0.9795 0.6678 0.1979
H64 0.9895 0.8422 0.5050
O1 0.9998 0.3048 0.2995
O2 0.0053 0.7002 0.7005
O3 0.0072 0.5092 0.1747
O4 0.0530 0.2505 0.7969
O5 0.0834 0.7577 0.9989
O6 0.1017 0.6017 0.5000
O7 0.1460 0.1460 0.0000
O8 0.1674 0.9928 0.5019
O9 0.1952 0.5002 0.7005
O10 0.2423 0.2411 0.3257
O11 0.2439 0.0464 0.7969
O12 0.2495 0.4469 0.2031
O13 0.2589 0.2577 0.6743
O14 0.2998 0.0002 0.3051
O15 0.3345 0.8326 0.8253
O16 0.3540 0.3540 0.0000
O17 0.3983 0.8983 0.5000
O18 0.4154 0.7411 0.9989
O19 0.4536 0.2561 0.2031
O20 0.4908 0.6655 0.4981
O21 0.4998 0.2002 0.6949
O22 0.5053 0.8048 0.3051
O23 0.5072 0.3326 0.4981
O24 0.5530 0.7561 0.8025
O25 0.5834 0.5846 0.3257
O26 0.6017 0.1017 0.5000
O27 0.6460 0.6460 0.0000
O28 0.6674 0.1655 0.1747
O29 0.6952 0.9947 0.6949
O30 0.7423 0.4166 0.0011
O31 0.7439 0.9469 0.1975
O32 0.7495 0.5464 0.8025
O33 0.7589 0.0846 0.0011
O34 0.7998 0.4947 0.2995
O35 0.8345 0.0092 0.5019
O36 0.8540 0.8540 0.0000
O37 0.8983 0.3983 0.5000
O38 0.9154 0.9166 0.6743
O39 0.9536 0.7505 0.1975
O40 0.9908 0.4928 0.8253


Record 5
# Co2P2H12O13 (GGA+U, optimized geometry)
# Crystal system: monoclinic
# Energy: -5.67 eV per atom
data_Co2P2H12O13
_chemical_formula_sum 'Co8 P8 H48 O52'
_cell_length_a 7.2453
_cell_length_b 18.5290
_cell_length_c 10.3312
_cell_angle_alpha 90.00
_cell_angle_beta 132.13
_cell_angle_gamma 90.00
_symmetry_space_group_name_H-M 'P 1'
_symmetry_Int_Tables_number 1
loop_
_symmetry_equiv_pos_as_xyz
'x,y,z'
loop_
_atom_site_label
_atom_site_fract_x
_atom_site_fract_y
_atom_site_fract_z
Co1 0.0000 0.0000 0.0000
Co2 0.0000 0.0000 0.5000
Co3 0.0000 0.5000 0.0000
Co4 0.0000 0.5000 0.5000
Co5 0.3246 0.2444 0.0244
Co6 0.3246 0.2556 0.5244
Co7 0.6754 0.7444 0.4756
Co8 0.6754 0.7556 0.9756
P1 0.1513 0.1041 0.3183
P2 0.1513 0.3959 0.8183
P3 0.4985 0.0976 0.7008
P4 0.4985 0.4024 0.2008
P5 0.5015 0.5976 0.7992
P6 0.5015 0.9024 0.2992
P7 0.8487 0.6041 0.1817
P8 0.8487 0.8959 0.6817
H1 0.0535 0.6134 0.8576
H2 0.0535 0.8866 0.3576
H3 0.0641 0.2122 0.1064
H4 0.0641 0.2878 0.6064
H5 0.0676 0.6734 0.5725
H6 0.0676 0.8266 0.0725
H7 0.1962 0.7328 0.3477
H8 0.1962 0.7672 0.8477
H9 0.2205 0.5087 0.3798
H10 0.2205 0.9913 0.8798
H11 0.2647 0.1110 0.9043
H12 0.2647 0.3890 0.4043
H13 0.2952 0.1645 0.7957
H14 0.2952 0.3355 0.2957
H15 0.3089 0.5718 0.9769
H16 0.3089 0.9282 0.4769
H17 0.3162 0.6467 0.2099
H18 0.3162 0.8533 0.7099
H19 0.3722 0.7326 0.0378
H20 0.3722 0.7674 0.5378
H21 0.4182 0.1308 0.2236
H22 0.4182 0.3692 0.7236
H23 0.4264 0.0030 0.0896
H24 0.4264 0.4970 0.5896
H25 0.5736 0.5030 0.4104
H26 0.5736 0.9970 0.9104
H27 0.5818 0.6308 0.2764
H28 0.5818 0.8692 0.7764
H29 0.6278 0.2326 0.4622
H30 0.6278 0.2674 0.9622
H31 0.6838 0.1467 0.2901
H32 0.6838 0.3533 0.7901
H33 0.6911 0.0718 0.5231
H34 0.6911 0.4282 0.0231
H35 0.7048 0.6645 0.7043
H36 0.7048 0.8355 0.2043
H37 0.7353 0.6110 0.5957
H38 0.7353 0.8890 0.0957
H39 0.7795 0.0087 0.1202
H40 0.7795 0.4913 0.6202
H41 0.8038 0.2328 0.1523
H42 0.8038 0.2672 0.6523
H43 0.9324 0.1734 0.9275
H44 0.9324 0.3266 0.4275
H45 0.9359 0.7122 0.3936
H46 0.9359 0.7878 0.8936
H47 0.9465 0.1134 0.6424
H48 0.9465 0.3866 0.1424
O1 0.0162 0.2195 0.9924
O2 0.0162 0.2805 0.4924
O3 0.0485 0.5657 0.1957
O4 0.0485 0.9343 0.6957
O5 0.1168 0.1870 0.3016
O6 0.1168 0.3130 0.8016
O7 0.1592 0.5803 0.9588
O8 0.1592 0.9197 0.4588
O9 0.1915 0.0752 0.2002
O10 0.1915 0.4248 0.7002
O11 0.2130 0.1587 0.8437
O12 0.2130 0.3413 0.3437
O13 0.2190 0.5901 0.6642
O14 0.2190 0.9099 0.1642
O15 0.2727 0.0239 0.9765
O16 0.2727 0.4761 0.4765
O17 0.3515 0.7397 0.9345
O18 0.3515 0.7603 0.4345
O19 0.3644 0.0379 0.7133
O20 0.3644 0.4621 0.2133
O21 0.4050 0.1733 0.6951
O22 0.4050 0.3267 0.1951
O23 0.4223 0.0873 0.5123
O24 0.4223 0.4127 0.0123
O25 0.4738 0.6699 0.2607
O26 0.4738 0.8301 0.7607
O27 0.5262 0.1699 0.2393
O28 0.5262 0.3301 0.7393
O29 0.5777 0.5873 0.9877
O30 0.5777 0.9127 0.4877
O31 0.5950 0.6733 0.8049
O32 0.5950 0.8267 0.3049
O33 0.6356 0.5379 0.7867
O34 0.6356 0.9621 0.2867
O35 0.6484 0.2397 0.5655
O36 0.6484 0.2603 0.0655
O37 0.7273 0.5239 0.5235
O38 0.7273 0.9761 0.0235
O39 0.7810 0.0901 0.8358
O40 0.7810 0.4099 0.3358
O41 0.7870 0.6587 0.6563
O42 0.7870 0.8413 0.1563
O43 0.8085 0.5752 0.2998
O44 0.8085 0.9248 0.7998
O45 0.8408 0.0803 0.5412
O46 0.8408 0.4197 0.0412
O47 0.8832 0.6870 0.1984
O48 0.8832 0.8130 0.6984
O49 0.9515 0.0657 0.3043
O50 0.9515 0.4343 0.8043
O51 0.9838 0.7195 0.5076
O52 0.9838 0.7805 0.0076


| no. | volume (Å³/atom) | ΔH_f (0 K) (eV/atom) |
| --- | --- | --- |
| 1 | 10.39 | -1.620 |
| 2 | 13.94 | -1.217 |
| 3 | 10.26 | -1.587 |
| 4 | 9.70 | -1.265 |
| 5 | 8.87 | -1.603 |